This record from the Materials Project describes an optimized crystal structure of TmMgS3. The functional is PBE.

Output
Electronic total energy, eV per cell: -151.24
E_form, meV/atom: -1646
V, Å³ per atom: 22.65
Energy above the most stable polymorph in this dataset, meV per atom: 0

abc: 6.6241 6.6241 17.8824
angles: 90.00 90.00 120.00
With the nearest neighbours (Å) after each atom.
Fractional coordinates of all 30 atoms:
Tm 0.0000 0.0000 0.3480  6 S 2.66-2.71
Tm 0.0000 0.0000 0.6520  6 S 2.66-2.71
Tm 0.6667 0.3333 0.6814  6 S 2.66-2.71
Tm 0.6667 0.3333 0.9853  6 S 2.66-2.71
Tm 0.3333 0.6667 0.0147  6 S 2.66-2.71
Tm 0.3333 0.6667 0.3186  6 S 2.66-2.71
Mg 0.0000 0.0000 0.1541  6 S 2.56-2.66
Mg 0.0000 0.0000 0.8459  6 S 2.56-2.66
Mg 0.6667 0.3333 0.4874  6 S 2.56-2.66
Mg 0.6667 0.3333 0.1792  6 S 2.56-2.66
Mg 0.3333 0.6667 0.8208  6 S 2.56-2.66
Mg 0.3333 0.6667 0.5126  6 S 2.56-2.66
S 0.9820 0.3461 0.5824  2 Mg 2.56-2.66, 2 Tm 2.66-2.71
S 0.0180 0.6539 0.4176  2 Mg 2.56-2.66, 2 Tm 2.66-2.71
S 0.6539 0.6360 0.5824  2 Mg 2.56-2.66, 2 Tm 2.66-2.71
S 0.3461 0.3640 0.4176  2 Mg 2.56-2.66, 2 Tm 2.66-2.71
S 0.3640 0.0180 0.5824  2 Mg 2.56-2.66, 2 Tm 2.66-2.71
S 0.6360 0.9820 0.4176  2 Mg 2.56-2.66, 2 Tm 2.66-2.71
S 0.6487 0.6794 0.9157  2 Mg 2.56-2.66, 2 Tm 2.66-2.71
S 0.6846 0.9872 0.7509  2 Mg 2.56-2.66, 2 Tm 2.66-2.71
S 0.3206 0.9693 0.9157  2 Mg 2.56-2.66, 2 Tm 2.66-2.71
S 0.0128 0.6974 0.7509  2 Mg 2.56-2.66, 2 Tm 2.66-2.71
S 0.0307 0.3513 0.9157  2 Mg 2.56-2.66, 2 Tm 2.66-2.71
S 0.3026 0.3154 0.7509  2 Mg 2.56-2.66, 2 Tm 2.66-2.71
S 0.3154 0.0128 0.2491  2 Mg 2.56-2.66, 2 Tm 2.66-2.71
S 0.3513 0.3206 0.0843  2 Mg 2.56-2.66, 2 Tm 2.66-2.71
S 0.9872 0.3026 0.2491  2 Mg 2.56-2.66, 2 Tm 2.66-2.71
S 0.6794 0.0307 0.0843  2 Mg 2.56-2.66, 2 Tm 2.66-2.71
S 0.6974 0.6846 0.2491  2 Mg 2.56-2.66, 2 Tm 2.66-2.71
S 0.9693 0.6487 0.0843  2 Mg 2.56-2.66, 2 Tm 2.66-2.71



This record from the Materials Project describes an optimized crystal structure of Tm2MgS4. The functional is PBE.

Output
Crystal system: triclinic
Electronic total energy, eV per cell: -155.88
E_form, meV/atom: -1984
V, Å³ per atom: 26.64
Energy above the most stable polymorph in this dataset, meV per atom: 199

abc: 7.1477 8.2620 12.8633
angles: 99.39 95.52 90.02
With the nearest neighbours (Å) after each atom.
Fractional coordinates of all 28 atoms:
Tm 0.1321 0.4452 0.3030  4 S 2.53-2.57
Tm 0.1330 0.9564 0.3061  4 S 2.54-2.57
Tm 0.2584 0.1268 0.0007  6 S 2.70-2.79
Tm 0.3645 0.2997 0.6954  4 S 2.53-2.57
Tm 0.6355 0.7003 0.3046  4 S 2.53-2.57
Tm 0.7416 0.8732 0.9993  6 S 2.70-2.79
Tm 0.8670 0.0436 0.6939  4 S 2.54-2.57
Tm 0.8679 0.5548 0.6970  4 S 2.53-2.57
Mg 0.2509 0.6232 0.9965  6 S 2.68-2.74
Mg 0.3666 0.7999 0.7006  4 S 2.43-2.47
Mg 0.6334 0.2001 0.2994  4 S 2.43-2.47
Mg 0.7491 0.3768 0.0035  6 S 2.68-2.74
S 0.0979 0.4052 0.1028  2 Tm 2.53-2.76, 2 Mg 2.68-2.72
S 0.1034 0.8993 0.1050  3 Tm 2.54-2.79, 1 Mg 2.74
S 0.1933 0.5414 0.6293  1 Mg 2.47, 2 Tm 2.56
S 0.1946 0.0232 0.6290  1 Mg 2.47, 2 Tm 2.56-2.57
S 0.3092 0.7180 0.3742  3 Tm 2.57
S 0.3267 0.2186 0.3720  1 Mg 2.46, 2 Tm 2.55-2.56
S 0.3947 0.8464 0.8930  2 Mg 2.43-2.70, 1 Tm 2.70
S 0.4038 0.3525 0.8958  2 Tm 2.53-2.73, 2 Mg 2.68-2.70
S 0.5962 0.6475 0.1042  2 Tm 2.53-2.73, 2 Mg 2.68-2.70
S 0.6053 0.1536 0.1070  2 Mg 2.43-2.70, 1 Tm 2.70
S 0.6733 0.7814 0.6280  1 Mg 2.46, 2 Tm 2.55-2.56
S 0.6908 0.2820 0.6258  3 Tm 2.57
S 0.8054 0.9768 0.3710  1 Mg 2.47, 2 Tm 2.56-2.57
S 0.8067 0.4586 0.3707  1 Mg 2.47, 2 Tm 2.56
S 0.8966 0.1007 0.8950  3 Tm 2.54-2.79, 1 Mg 2.74
S 0.9021 0.5948 0.8972  2 Tm 2.53-2.76, 2 Mg 2.68-2.72



Question: Look up the E_form of the second one.
Answer: -1984 meV/atom



Please write out number 1 again, unchanged.
This record from the Materials Project describes an optimized crystal structure of TmMgS3. The functional is PBE.

Output
Electronic total energy, eV per cell: -151.24
E_form, meV/atom: -1646
V, Å³ per atom: 22.65
Energy above the most stable polymorph in this dataset, meV per atom: 0

abc: 6.6241 6.6241 17.8824
angles: 90.00 90.00 120.00
With the nearest neighbours (Å) after each atom.
Fractional coordinates of all 30 atoms:
Tm 0.0000 0.0000 0.3480  6 S 2.66-2.71
Tm 0.0000 0.0000 0.6520  6 S 2.66-2.71
Tm 0.6667 0.3333 0.6814  6 S 2.66-2.71
Tm 0.6667 0.3333 0.9853  6 S 2.66-2.71
Tm 0.3333 0.6667 0.0147  6 S 2.66-2.71
Tm 0.3333 0.6667 0.3186  6 S 2.66-2.71
Mg 0.0000 0.0000 0.1541  6 S 2.56-2.66
Mg 0.0000 0.0000 0.8459  6 S 2.56-2.66
Mg 0.6667 0.3333 0.4874  6 S 2.56-2.66
Mg 0.6667 0.3333 0.1792  6 S 2.56-2.66
Mg 0.3333 0.6667 0.8208  6 S 2.56-2.66
Mg 0.3333 0.6667 0.5126  6 S 2.56-2.66
S 0.9820 0.3461 0.5824  2 Mg 2.56-2.66, 2 Tm 2.66-2.71
S 0.0180 0.6539 0.4176  2 Mg 2.56-2.66, 2 Tm 2.66-2.71
S 0.6539 0.6360 0.5824  2 Mg 2.56-2.66, 2 Tm 2.66-2.71
S 0.3461 0.3640 0.4176  2 Mg 2.56-2.66, 2 Tm 2.66-2.71
S 0.3640 0.0180 0.5824  2 Mg 2.56-2.66, 2 Tm 2.66-2.71
S 0.6360 0.9820 0.4176  2 Mg 2.56-2.66, 2 Tm 2.66-2.71
S 0.6487 0.6794 0.9157  2 Mg 2.56-2.66, 2 Tm 2.66-2.71
S 0.6846 0.9872 0.7509  2 Mg 2.56-2.66, 2 Tm 2.66-2.71
S 0.3206 0.9693 0.9157  2 Mg 2.56-2.66, 2 Tm 2.66-2.71
S 0.0128 0.6974 0.7509  2 Mg 2.56-2.66, 2 Tm 2.66-2.71
S 0.0307 0.3513 0.9157  2 Mg 2.56-2.66, 2 Tm 2.66-2.71
S 0.3026 0.3154 0.7509  2 Mg 2.56-2.66, 2 Tm 2.66-2.71
S 0.3154 0.0128 0.2491  2 Mg 2.56-2.66, 2 Tm 2.66-2.71
S 0.3513 0.3206 0.0843  2 Mg 2.56-2.66, 2 Tm 2.66-2.71
S 0.9872 0.3026 0.2491  2 Mg 2.56-2.66, 2 Tm 2.66-2.71
S 0.6794 0.0307 0.0843  2 Mg 2.56-2.66, 2 Tm 2.66-2.71
S 0.6974 0.6846 0.2491  2 Mg 2.56-2.66, 2 Tm 2.66-2.71
S 0.9693 0.6487 0.0843  2 Mg 2.56-2.66, 2 Tm 2.66-2.71